No. 1
Computed, not measured: crystalline TmGaAg at its relaxed geometry at the PBE-GGA level of DFT.

POSCAR file:
```
TmGaAg
1.0
2.272 5.237 0.000
-2.272 5.237 0.000
0.000 4.725 5.246
Tm Ga Ag
2 2 2
Direct
0.464 0.464 0.291
0.536 0.536 0.709
0.159 0.159 0.882
0.841 0.841 0.118
0.826 0.826 0.722
0.174 0.174 0.278
```

No. 2
Computed, not measured: crystalline Y2Ga3Ag at its relaxed geometry at the PBE-GGA level of DFT.

POSCAR file:
```
Y2Ga3Ag
1.0
2.258 -3.911 0.000
2.258 3.911 0.000
0.000 0.000 7.235
Y Ga Ag
2 3 1
Direct
0.333 0.667 0.240
0.333 0.667 0.758
0.000 0.000 0.970
0.000 0.000 0.548
0.667 0.333 0.454
0.667 0.333 0.029
```

No. 3
Computed, not measured: crystalline YGaAg at its relaxed geometry at the PBE-GGA level of DFT.

POSCAR file:
```
YGaAg
1.0
2.296 5.284 0.000
-2.296 5.284 0.000
0.000 4.832 5.342
Y Ga Ag
2 2 2
Direct
0.535 0.535 0.709
0.465 0.465 0.291
0.841 0.841 0.116
0.159 0.159 0.884
0.174 0.174 0.277
0.826 0.826 0.723
```

The calculated total energy results, record by record, are as follows: -23.49; -28.37; -27.66 eV for the cell shown.